Na10Sc4Zn4Si3S9O48: relaxed, PBE.

Cell lengths 8.980, 15.678, 22.703 Å; angles 90.48, 90.00, 90.15 degrees
Space group P1 (No. 1)
Unique sites:
Na: 0.000 0.000 0.000 x1
Na: 0.000 0.333 0.670 x1
Na: 0.042 0.697 0.012 x1
Na: 0.043 0.030 0.681 x1
Na: 0.177 0.864 0.846 x1
Na: 0.180 0.197 0.513 x1
Na: 0.185 0.160 0.176 x1
Na: 0.186 0.829 0.510 x1
Na: 0.218 0.166 0.835 x1
Na: 0.219 0.499 0.505 x1
Na: 0.221 0.835 0.168 x1
Na: 0.348 0.341 0.423 x1
Na: 0.348 0.678 0.093 x1
Na: 0.363 0.016 0.760 x1
Na: 0.369 0.346 0.926 x1
Na: 0.372 0.674 0.598 x1
Na: 0.376 0.013 0.260 x1
Na: 0.503 0.833 0.670 x1
Na: 0.506 0.498 0.004 x1
Na: 0.545 0.197 0.011 x1
Na: 0.680 0.698 0.514 x1
Na: 0.684 0.327 0.511 x1
Na: 0.685 0.660 0.176 x1
Na: 0.721 0.335 0.168 x1
Na: 0.842 0.849 0.425 x1
Na: 0.847 0.179 0.091 x1
Na: 0.851 0.518 0.759 x1
Na: 0.857 0.846 0.924 x1
Na: 0.860 0.174 0.595 x1
Na: 0.876 0.512 0.260 x1
Sc: 0.361 0.680 0.942 x1
Sc: 0.362 0.333 0.275 x1
Sc: 0.364 0.337 0.773 x1
Sc: 0.365 0.008 0.607 x1
Sc: 0.365 0.681 0.439 x1
Sc: 0.370 0.004 0.107 x1
Sc: 0.858 0.508 0.611 x1
Sc: 0.858 0.835 0.776 x1
Sc: 0.862 0.176 0.939 x1
Sc: 0.862 0.834 0.275 x1
Sc: 0.863 0.174 0.440 x1
Sc: 0.869 0.504 0.107 x1
Zn: 0.339 0.338 0.579 x1
Zn: 0.339 0.669 0.241 x1
Zn: 0.346 0.002 0.907 x1
Zn: 0.376 0.002 0.407 x1
Zn: 0.379 0.666 0.739 x1
Zn: 0.382 0.336 0.075 x1
Zn: 0.828 0.840 0.577 x1
Zn: 0.839 0.169 0.241 x1
Zn: 0.851 0.499 0.908 x1
Zn: 0.874 0.500 0.406 x1
Zn: 0.876 0.170 0.743 x1
Zn: 0.880 0.837 0.075 x1
Si: 0.009 0.024 0.840 x1
Si: 0.010 0.361 0.507 x1
Si: 0.012 0.690 0.172 x1
Si: 0.211 0.190 0.673 x1
Si: 0.212 0.859 0.007 x1
Si: 0.512 0.190 0.172 x1
Si: 0.513 0.862 0.506 x1
Si: 0.711 0.690 0.673 x1
Si: 0.713 0.359 0.007 x1
S: 0.005 0.988 0.173 x1
S: 0.008 0.325 0.838 x1
S: 0.008 0.653 0.505 x1
S: 0.068 0.006 0.505 x1
S: 0.069 0.670 0.839 x1
S: 0.072 0.341 0.173 x1
S: 0.153 0.839 0.672 x1
S: 0.155 0.506 0.004 x1
S: 0.156 0.171 0.339 x1
S: 0.213 0.526 0.341 x1
S: 0.214 0.155 0.007 x1
S: 0.214 0.824 0.339 x1
S: 0.217 0.489 0.673 x1
S: 0.505 0.488 0.173 x1
S: 0.507 0.820 0.839 x1
S: 0.509 0.153 0.505 x1
S: 0.510 0.526 0.841 x1
S: 0.568 0.174 0.839 x1
S: 0.569 0.507 0.505 x1
S: 0.572 0.840 0.173 x1
S: 0.653 0.006 0.005 x1
S: 0.654 0.339 0.672 x1
S: 0.657 0.671 0.339 x1
S: 0.713 0.026 0.340 x1
S: 0.715 0.323 0.340 x1
S: 0.715 0.653 0.006 x1
S: 0.715 0.988 0.673 x1
O: 0.027 0.183 0.677 x1
O: 0.028 0.850 0.010 x1
O: 0.048 0.158 0.002 x1
O: 0.048 0.830 0.335 x1
O: 0.049 0.519 0.344 x1
O: 0.050 0.490 0.668 x1
O: 0.059 0.854 0.725 x1
O: 0.060 0.183 0.393 x1
O: 0.062 0.524 0.058 x1
O: 0.063 0.162 0.285 x1
O: 0.063 0.831 0.617 x1
O: 0.064 0.496 0.952 x1
O: 0.160 0.024 0.560 x1
O: 0.162 0.995 0.453 x1
O: 0.163 0.684 0.894 x1
O: 0.164 0.330 0.120 x1
O: 0.164 0.354 0.227 x1
O: 0.166 0.660 0.787 x1
O: 0.173 0.993 0.169 x1
O: 0.176 0.329 0.835 x1
O: 0.176 0.657 0.498 x1
O: 0.193 0.350 0.510 x1
O: 0.193 0.687 0.180 x1
O: 0.194 0.018 0.843 x1
O: 0.234 0.247 0.614 x1
O: 0.237 0.916 0.949 x1
O: 0.242 0.101 0.060 x1
O: 0.242 0.770 0.393 x1
O: 0.247 0.252 0.336 x1
O: 0.248 0.432 0.724 x1
O: 0.248 0.578 0.289 x1
O: 0.250 0.764 0.678 x1
O: 0.250 0.919 0.669 x1
O: 0.252 0.096 0.346 x1
O: 0.252 0.431 0.013 x1
O: 0.255 0.584 0.000 x1
O: 0.275 0.566 0.396 x1
O: 0.276 0.575 0.681 x1
O: 0.277 0.241 0.013 x1
O: 0.279 0.782 0.286 x1
O: 0.279 0.909 0.344 x1
O: 0.281 0.453 0.617 x1
O: 0.282 0.093 0.668 x1
O: 0.282 0.238 0.732 x1
O: 0.282 0.760 0.001 x1
O: 0.282 0.903 0.067 x1
O: 0.283 0.440 0.336 x1
O: 0.284 0.117 0.954 x1
O: 0.424 0.097 0.168 x1
O: 0.428 0.240 0.228 x1
O: 0.431 0.763 0.500 x1
O: 0.431 0.901 0.566 x1
O: 0.436 0.116 0.453 x1
O: 0.438 0.781 0.786 x1
O: 0.439 0.440 0.835 x1
O: 0.440 0.453 0.119 x1
O: 0.441 0.906 0.845 x1
O: 0.447 0.566 0.896 x1
O: 0.449 0.242 0.511 x1
O: 0.450 0.577 0.181 x1
O: 0.467 0.583 0.500 x1
O: 0.468 0.252 0.836 x1
O: 0.469 0.099 0.845 x1
O: 0.469 0.916 0.170 x1
O: 0.473 0.917 0.449 x1
O: 0.475 0.429 0.513 x1
O: 0.475 0.433 0.225 x1
O: 0.475 0.578 0.789 x1
O: 0.476 0.766 0.891 x1
O: 0.479 0.762 0.179 x1
O: 0.481 0.102 0.558 x1
O: 0.490 0.247 0.114 x1
O: 0.528 0.350 0.010 x1
O: 0.528 0.687 0.679 x1
O: 0.548 0.330 0.335 x1
O: 0.548 0.656 0.000 x1
O: 0.549 0.019 0.344 x1
O: 0.549 0.991 0.667 x1
O: 0.556 0.352 0.724 x1
O: 0.559 0.022 0.058 x1
O: 0.561 0.682 0.393 x1
O: 0.561 0.996 0.952 x1
O: 0.563 0.662 0.285 x1
O: 0.566 0.331 0.617 x1
O: 0.657 0.187 0.894 x1
O: 0.660 0.495 0.452 x1
O: 0.661 0.166 0.787 x1
O: 0.662 0.524 0.558 x1
O: 0.664 0.830 0.120 x1
O: 0.664 0.854 0.227 x1
O: 0.672 0.827 0.835 x1
O: 0.673 0.494 0.169 x1
O: 0.674 0.519 0.844 x1
O: 0.675 0.162 0.499 x1
O: 0.692 0.845 0.508 x1
O: 0.693 0.187 0.180 x1
O: 0.730 0.746 0.613 x1
O: 0.735 0.424 0.953 x1
O: 0.739 0.601 0.060 x1
O: 0.742 0.934 0.725 x1
O: 0.743 0.270 0.393 x1
O: 0.745 0.077 0.287 x1
O: 0.748 0.751 0.336 x1
O: 0.749 0.263 0.678 x1
O: 0.750 0.085 0.002 x1
O: 0.751 0.931 0.013 x1
O: 0.752 0.596 0.345 x1
O: 0.753 0.416 0.670 x1
O: 0.774 0.741 0.013 x1
O: 0.776 0.075 0.680 x1
O: 0.778 0.069 0.393 x1
O: 0.779 0.282 0.287 x1
O: 0.779 0.409 0.345 x1
O: 0.782 0.261 0.001 x1
O: 0.782 0.403 0.068 x1
O: 0.783 0.940 0.335 x1
O: 0.785 0.741 0.729 x1
O: 0.787 0.614 0.954 x1
O: 0.788 0.595 0.667 x1
O: 0.788 0.951 0.620 x1
O: 0.924 0.597 0.168 x1
O: 0.928 0.740 0.228 x1
O: 0.929 0.400 0.566 x1
O: 0.933 0.263 0.499 x1
O: 0.935 0.616 0.453 x1
O: 0.941 0.072 0.900 x1
O: 0.941 0.926 0.835 x1
O: 0.941 0.953 0.119 x1
O: 0.945 0.287 0.784 x1
O: 0.947 0.411 0.846 x1
O: 0.951 0.077 0.181 x1
O: 0.954 0.741 0.512 x1
O: 0.970 0.416 0.170 x1
O: 0.972 0.085 0.500 x1
O: 0.972 0.595 0.846 x1
O: 0.975 0.933 0.225 x1
O: 0.977 0.928 0.513 x1
O: 0.979 0.262 0.179 x1
O: 0.980 0.268 0.890 x1
O: 0.980 0.751 0.836 x1
O: 0.983 0.599 0.557 x1
O: 0.986 0.423 0.452 x1
O: 0.987 0.082 0.782 x1
O: 0.990 0.747 0.113 x1

ΔH_f (0 K): -2.39 eV/atom
Spin magnetization: 0.00 μB per formula unit


CdH18Se4N4O14: relaxed, PBE.

Cell lengths 5.859, 7.467, 10.962 Å; angles 90.01, 105.26, 112.61 degrees
Space group P-1 (No. 2)
Unique sites:
Cd: 0.000 0.000 0.000 x1
H: 0.019 0.736 0.512 x2
H: 0.090 0.405 0.914 x2
H: 0.113 0.638 0.406 x2
H: 0.131 0.571 0.809 x2
H: 0.156 0.878 0.406 x2
H: 0.281 0.643 0.968 x2
H: 0.336 0.806 0.527 x2
H: 0.380 0.510 0.884 x2
H: 0.412 0.268 0.675 x2
Se: 0.304 0.338 0.296 x2
Se: 0.451 0.047 0.824 x2
N: 0.154 0.766 0.462 x2
N: 0.222 0.533 0.895 x2
O: 0.069 0.388 0.331 x2
O: 0.225 0.296 0.136 x2
O: 0.227 0.817 0.100 x2
O: 0.307 0.159 0.895 x2
O: 0.336 0.148 0.366 x2
O: 0.401 0.126 0.669 x2
O: 0.412 0.471 0.657 x2

ΔH_f (0 K): -0.95 eV/atom
Spin magnetization: 0.00 μB per formula unit


LaTa2NO5: relaxed, PBE.

Cell lengths 5.528, 7.741, 11.317 Å; angles 89.97, 89.60, 89.96 degrees
Space group P1 (No. 1)
Unique sites:
La: 0.000 0.000 0.000 x1
La: 0.093 0.505 0.918 x1
La: 0.495 0.505 0.429 x1
La: 0.600 0.999 0.505 x1
Ta: 0.009 0.750 0.323 x1
Ta: 0.012 0.257 0.322 x1
Ta: 0.086 0.246 0.606 x1
Ta: 0.099 0.756 0.610 x1
Ta: 0.506 0.256 0.107 x1
Ta: 0.508 0.748 0.106 x1
Ta: 0.585 0.260 0.820 x1
Ta: 0.585 0.757 0.813 x1
N: 0.096 0.502 0.316 x1
N: 0.423 0.808 0.671 x1
N: 0.503 0.501 0.823 x1
N: 0.998 0.003 0.608 x1
O: 0.183 0.194 0.174 x1
O: 0.183 0.810 0.174 x1
O: 0.195 0.501 0.583 x1
O: 0.278 0.217 0.439 x1
O: 0.278 0.788 0.437 x1
O: 0.320 0.215 0.942 x1
O: 0.322 0.788 0.943 x1
O: 0.402 0.502 0.087 x1
O: 0.419 0.197 0.675 x1
O: 0.594 0.003 0.107 x1
O: 0.676 0.700 0.250 x1
O: 0.677 0.304 0.250 x1
O: 0.704 0.001 0.847 x1
O: 0.777 0.285 0.990 x1
O: 0.783 0.718 0.995 x1
O: 0.819 0.288 0.486 x1
O: 0.821 0.717 0.482 x1
O: 0.899 0.003 0.338 x1
O: 0.921 0.308 0.754 x1
O: 0.923 0.695 0.755 x1

ΔH_f (0 K): -3.16 eV/atom
Spin magnetization: 0.00 μB per formula unit
Energy above the lowest structure with this stoichiometry: 10 meV/atom


BaCaDyNbO6: relaxed, PBE.

Cell lengths 8.467, 8.467, 8.467 Å; angles 90.00, 90.00, 90.00 degrees
Space group F-43m (No. 216)
Unique sites:
Ba: 0.000 0.000 0.000 x4
Ca: 0.000 0.000 0.500 x4
Dy: 0.250 0.250 0.750 x4
Nb: 0.250 0.250 0.250 x4
O: 0.012 0.250 0.250 x24

ΔH_f (0 K): -3.36 eV/atom
Spin magnetization: 0.00 μB per formula unit


Na4CaTi3Si3S3O24: relaxed, PBE.

Cell lengths 8.981, 8.991, 22.546 Å; angles 89.13, 89.22, 60.08 degrees
Space group P1 (No. 1)
Unique sites:
Na: 0.000 0.000 0.000 x1
Na: 0.001 0.621 0.754 x1
Na: 0.011 0.997 0.497 x1
Na: 0.309 0.359 0.323 x1
Na: 0.328 0.350 0.834 x1
Na: 0.339 0.636 0.249 x1
Na: 0.355 0.014 0.755 x1
Na: 0.631 0.018 0.248 x1
Na: 0.656 0.651 0.669 x1
Na: 0.667 0.298 0.406 x1
Na: 0.674 0.660 0.157 x1
Na: 0.998 0.364 0.238 x1
Ca: 0.002 0.996 0.357 x1
Ca: 0.312 0.348 0.170 x1
Ca: 0.326 0.345 0.683 x1
Ti: 0.003 0.017 0.652 x1
Ti: 0.019 0.992 0.858 x1
Ti: 0.294 0.338 0.976 x1
Ti: 0.309 0.354 0.474 x1
Ti: 0.656 0.665 0.514 x1
Ti: 0.660 0.664 0.816 x1
Ti: 0.664 0.676 0.013 x1
Ti: 0.678 0.645 0.310 x1
Ti: 0.970 0.020 0.147 x1
Si: 0.009 0.338 0.082 x1
Si: 0.288 0.719 0.752 x1
Si: 0.374 0.669 0.417 x1
Si: 0.377 0.961 0.915 x1
Si: 0.693 0.301 0.253 x1
Si: 0.946 0.676 0.913 x1
Si: 0.951 0.387 0.417 x1
Si: 0.979 0.299 0.754 x1
Si: 0.988 0.714 0.250 x1
S: 0.022 0.642 0.580 x1
S: 0.291 0.996 0.246 x1
S: 0.326 0.039 0.581 x1
S: 0.326 0.643 0.078 x1
S: 0.626 0.035 0.079 x1
S: 0.632 0.335 0.579 x1
S: 0.641 0.967 0.419 x1
S: 0.656 0.383 0.917 x1
S: 0.716 0.998 0.750 x1
O: 0.005 0.156 0.087 x1
O: 0.014 0.812 0.581 x1
O: 0.039 0.786 0.305 x1
O: 0.064 0.380 0.143 x1
O: 0.085 0.546 0.636 x1
O: 0.139 0.504 0.923 x1
O: 0.139 0.517 0.242 x1
O: 0.143 0.371 0.426 x1
O: 0.144 0.539 0.530 x1
O: 0.152 0.316 0.027 x1
O: 0.154 0.308 0.750 x1
O: 0.163 0.027 0.585 x1
O: 0.166 0.815 0.080 x1
O: 0.166 0.821 0.809 x1
O: 0.179 0.850 0.693 x1
O: 0.182 0.987 0.909 x1
O: 0.188 0.035 0.301 x1
O: 0.188 0.827 0.424 x1
O: 0.201 0.975 0.194 x1
O: 0.292 0.540 0.749 x1
O: 0.305 0.157 0.531 x1
O: 0.309 0.538 0.030 x1
O: 0.328 0.139 0.238 x1
O: 0.351 0.103 0.638 x1
O: 0.354 0.155 0.924 x1
O: 0.356 0.558 0.137 x1
O: 0.370 0.483 0.427 x1
O: 0.459 0.831 0.252 x1
O: 0.472 0.716 0.754 x1
O: 0.472 0.837 0.971 x1
O: 0.475 0.863 0.573 x1
O: 0.477 0.666 0.067 x1
O: 0.482 0.145 0.425 x1
O: 0.487 0.670 0.474 x1
O: 0.493 0.870 0.854 x1
O: 0.496 0.637 0.358 x1
O: 0.498 0.371 0.921 x1
O: 0.504 0.332 0.242 x1
O: 0.530 0.153 0.030 x1
O: 0.533 0.363 0.633 x1
O: 0.538 0.144 0.745 x1
O: 0.540 0.094 0.137 x1
O: 0.543 0.319 0.526 x1
O: 0.622 0.893 0.364 x1
O: 0.633 0.494 0.861 x1
O: 0.649 0.865 0.472 x1
O: 0.651 0.859 0.071 x1
O: 0.658 0.490 0.573 x1
O: 0.681 0.467 0.968 x1
O: 0.691 0.490 0.253 x1
O: 0.707 0.835 0.750 x1
O: 0.768 0.201 0.313 x1
O: 0.791 0.990 0.420 x1
O: 0.796 0.015 0.803 x1
O: 0.797 0.720 0.257 x1
O: 0.801 0.021 0.082 x1
O: 0.806 0.177 0.583 x1
O: 0.809 0.211 0.910 x1
O: 0.811 0.493 0.756 x1
O: 0.820 0.502 0.065 x1
O: 0.820 0.984 0.694 x1
O: 0.824 0.694 0.969 x1
O: 0.826 0.198 0.195 x1
O: 0.833 0.511 0.472 x1
O: 0.847 0.668 0.571 x1
O: 0.858 0.643 0.853 x1
O: 0.867 0.496 0.355 x1
O: 0.953 0.211 0.423 x1
O: 0.961 0.846 0.190 x1
O: 0.961 0.850 0.907 x1
O: 0.962 0.203 0.691 x1
O: 0.994 0.172 0.808 x1

ΔH_f (0 K): -2.72 eV/atom
Spin magnetization: 0.00 μB per formula unit